66
Lattice="11.1946 0.0000 0.0000 0.0000 8.3936 0.0000 -0.8168 0.0000 10.6630" Properties=species:S:1:pos:R:3 comment="Ta2ZnCuO7 PBE-GGA relaxed" formation_enthalpy_0k_ev_per_fu=-27.331 density_g_cm3=5.99 pbc="T T T"
Ta 0.2040 1.7714 0.3582
Ta -0.2045 6.6222 5.6897
Ta 3.1607 2.3714 7.5900
Ta 3.5692 6.0222 2.2585
Ta 3.6460 2.0705 1.2946
Ta 3.2376 6.3231 6.6261
Ta 7.1402 2.0705 4.0369
Ta 6.7317 6.3231 9.3684
Ta 6.8086 2.3714 8.4044
Ta 7.2170 6.0222 3.0729
Ta 10.5822 1.7714 4.9733
Ta 10.1738 6.6222 10.3048
Zn -0.6126 3.7260 7.9972
Zn -0.2042 4.6676 2.6657
Zn 3.8249 0.5662 4.5123
Zn 3.4165 7.8274 9.8438
Zn 6.9613 0.5662 0.8192
Zn 6.5528 7.8274 6.1506
Cu -0.6126 0.6733 7.9972
Cu -0.2042 7.7202 2.6657
Cu 2.9789 3.5044 4.4304
Cu 2.5704 4.8892 9.7619
Cu 7.8073 3.5044 0.9011
Cu 7.3989 4.8892 6.2325
O -0.0595 3.3211 1.2369
O -0.4679 5.0724 6.5684
O -0.1438 2.1172 6.7805
O 0.2646 6.2764 1.4490
O 0.3693 0.4424 4.1231
O -0.0392 7.9512 9.4546
O 2.0504 1.3183 0.6329
O 1.6419 7.0753 5.9643
O 2.0157 3.6003 8.4084
O 2.4242 4.7933 3.0769
O 2.9403 1.9652 5.7252
O 3.3488 6.4284 0.3937
O 2.9342 0.8165 8.5206
O 3.3426 7.5771 3.1891
O 3.5530 2.1809 3.1543
O 3.1446 6.2127 8.4857
O 3.8482 3.7478 0.5689
O 3.4398 4.6457 5.9004
O 4.9550 0.8670 0.7647
O 4.5466 7.5265 6.0962
O 4.9847 2.8246 7.9972
O 5.3931 5.5689 2.6657
O 5.8312 0.8670 4.5668
O 5.4227 7.5265 9.8983
O 6.9380 3.7478 4.7626
O 6.5295 4.6457 10.0941
O 7.2332 2.1809 2.1772
O 6.8248 6.2127 7.5087
O 7.0351 0.8165 7.4738
O 7.4436 7.5771 2.1423
O 7.0290 1.9652 10.2692
O 7.4374 6.4284 4.9378
O 7.9536 3.6003 7.5861
O 8.3620 4.7933 2.2546
O 8.7358 1.3183 4.6986
O 8.3274 7.0753 10.0301
O 10.4169 0.4424 1.2083
O 10.0085 7.9512 6.5398
O 10.1132 2.1172 9.2140
O 10.5216 6.2764 3.8825
O 10.8457 3.3211 4.0946
O 10.4372 5.0724 9.4261

20
Lattice="5.3933 0.0000 0.0000 0.0000 7.4334 0.0000 -1.1250 0.0000 5.5073" Properties=species:S:1:pos:R:3 comment="TaZn2CuO6 PBE-GGA relaxed" formation_enthalpy_0k_ev_per_fu=-19.625 density_g_cm3=7.09 pbc="T T T"
Ta 0.0000 0.0000 0.0000
Ta 0.0000 3.7167 0.0000
Zn -0.4386 1.8583 2.9980
Zn 1.5740 5.5750 5.1880
Zn 2.6943 1.8583 0.3193
Zn 4.7069 5.5750 2.5093
Cu 2.1342 0.0000 2.7536
Cu 2.1342 3.7167 2.7536
O 0.7354 5.5750 0.2003
O 0.5779 0.4340 1.8776
O 0.5779 3.2826 1.8776
O 0.5779 0.5533 4.6832
O 0.5779 3.1634 4.6832
O 1.3629 5.5750 3.1510
O 2.9054 1.8583 2.3562
O 3.6904 4.2700 0.8241
O 3.6904 6.8800 0.8241
O 3.6904 4.1507 3.6297
O 3.6904 6.9993 3.6297
O 3.5329 1.8583 5.3069

48
Lattice="7.7752 0.0000 0.0000 0.0000 9.2351 0.0000 -5.9593 0.0000 8.9600" Properties=species:S:1:pos:R:3 comment="Cu3TeO8 PBE-GGA relaxed" formation_enthalpy_0k_ev_per_fu=-9.198 density_g_cm3=4.61 pbc="T T T"
Cu -2.2377 0.7688 3.3956
Cu -5.2174 3.8487 7.8756
Cu -5.0084 0.7176 7.9385
Cu -2.0287 3.8999 3.4585
Cu 0.0897 5.3699 5.4923
Cu 3.0694 8.4827 1.0122
Cu -1.2535 0.7524 7.9478
Cu 1.7262 3.8652 3.4678
Cu 3.8446 5.3351 5.5015
Cu 6.8242 8.5175 1.0215
Cu 7.0332 5.3864 1.0844
Cu 4.0536 8.4662 5.5644
Te -0.6153 2.2254 1.2463
Te -3.5949 2.3921 5.7263
Te 5.4108 6.8429 3.2337
Te 2.4311 7.0097 7.7138
O -3.6227 6.8172 6.6673
O -0.6430 7.0354 2.1873
O -5.0106 5.5289 8.9569
O -2.0310 8.3237 4.4769
O -0.5973 0.5561 2.3891
O -3.5769 4.0615 6.8691
O -1.6563 5.4480 4.5370
O 1.3233 8.4046 0.0570
O 1.1019 1.9028 0.4364
O -1.8778 2.7147 4.9164
O -2.8993 1.0907 6.9710
O 0.0804 3.5268 2.4910
O 0.9938 5.6758 3.9805
O -1.9858 8.1768 8.4605
O -0.7856 5.1672 6.9821
O 2.1941 8.6854 2.5021
O -0.3782 0.5496 6.4579
O 2.6014 4.0679 1.9779
O 3.8017 1.0583 0.4995
O 0.8220 3.5592 4.9795
O 1.7355 5.7083 6.4690
O 4.7151 8.1443 1.9890
O 3.6936 6.5204 4.0436
O 0.7140 7.3322 8.5236
O 0.4925 0.8305 8.9030
O 3.4722 3.7870 4.4230
O 5.3928 5.1736 2.0909
O 2.4131 8.6790 6.5709
O 3.8469 0.9114 4.4832
O 6.8265 3.7062 0.0032
O 2.4589 2.1996 6.7727
O 5.4385 2.4179 2.2927

40
Lattice="-4.8375 4.8375 4.8375 4.8375 -4.8375 4.8375 4.8375 4.8375 -4.8375" Properties=species:S:1:pos:R:3 comment="Cu3TeO6 PBE-GGA relaxed" formation_enthalpy_0k_ev_per_fu=-11.014 density_g_cm3=6.08 pbc="T T T"
Cu 7.2562 0.2849 0.0000
Cu 4.8375 -2.4187 4.5525
Cu 4.5525 4.8375 -2.4187
Cu 4.5525 0.0000 2.4187
Cu 4.8375 2.4187 0.2849
Cu 2.4187 4.5525 0.0000
Cu 2.4187 0.2849 4.8375
Cu 0.0000 2.4187 4.5525
Cu 0.2849 4.8375 2.4187
Cu 0.2849 0.0000 7.2562
Cu 0.0000 7.2562 0.2849
Cu -2.4187 4.5525 4.8375
Te 2.4187 2.4187 -2.4187
Te 2.4187 -2.4187 2.4187
Te -2.4187 2.4187 2.4187
Te 2.4187 2.4187 2.4187
O 8.0120 -0.9714 1.2797
O 5.8089 3.5578 -3.1746
O 6.1171 1.6629 -0.9714
O 5.8089 -1.2797 3.1746
O 3.5578 3.1746 -0.9714
O 3.1746 0.9714 1.2797
O 3.1746 -0.9714 3.5578
O 3.5578 -3.1746 5.8089
O 5.8089 1.2797 1.6629
O 1.2797 3.1746 0.9714
O 0.9714 1.2797 3.1746
O 3.1746 5.8089 -1.2797
O 1.6629 -0.9714 6.1171
O 3.8660 3.5578 1.6629
O 3.5578 1.6629 3.8660
O -0.9714 3.5578 3.1746
O 1.2797 8.0120 -0.9714
O 1.6629 5.8089 1.2797
O 1.6629 3.8660 3.5578
O 1.2797 1.6629 5.8089
O -0.9714 6.1171 1.6629
O -1.2797 3.1746 5.8089
O -0.9714 1.2797 8.0120
O -3.1746 5.8089 3.5578

32
Lattice="6.9746 0.0000 0.0000 0.0000 9.5022 0.0000 -2.3280 0.0000 7.2903" Properties=species:S:1:pos:R:3 comment="CuTe2O5 PBE-GGA relaxed" formation_enthalpy_0k_ev_per_fu=-10.636 density_g_cm3=5.48 pbc="T T T"
Cu 0.6366 0.1131 1.5002
Cu -0.5274 4.6381 5.1453
Cu 5.1740 4.8642 2.1450
Cu 4.0099 9.3892 5.7901
Te 0.9039 6.4436 0.4348
Te -0.2601 7.8098 4.0799
Te 0.4264 1.9411 6.6305
Te 1.5905 2.8100 2.9854
Te 3.0561 6.6923 4.3049
Te 4.2201 7.5611 0.6598
Te 4.9067 1.6925 3.2103
Te 3.7427 3.0586 6.8555
O -1.8697 5.7843 5.9951
O -0.7056 8.4691 2.3500
O -0.3614 5.9499 3.7032
O 0.8026 8.3035 0.0581
O 0.2905 1.3894 2.9801
O -0.8736 3.3617 6.6253
O 2.1856 1.2726 1.0661
O 1.0216 3.4785 4.7113
O 0.5360 6.4780 7.0609
O 1.7000 7.7754 3.4158
O 2.9466 1.7268 3.8745
O 4.1106 3.0243 0.2294
O 3.6250 6.0237 2.5790
O 2.4610 8.2297 6.2241
O 5.5201 6.1405 0.6650
O 4.3561 8.1128 4.3101
O 3.8440 1.1988 7.2322
O 5.0080 3.5524 3.5870
O 5.3522 1.0332 4.9403
O 6.5162 3.7180 1.2951

55
Lattice="8.4632 0.0000 0.0000 4.0980 7.4507 0.0000 1.3478 0.5667 10.3708" Properties=species:S:1:pos:R:3 comment="Zn3Cu10Te6O36 PBE-GGA relaxed" formation_enthalpy_0k_ev_per_fu=-61.428 density_g_cm3=5.52 pbc="T T T"
Zn 0.0000 0.0000 0.0000
Zn 2.7091 3.4405 5.5672
Zn 9.2165 5.3336 0.3776
Cu 0.9476 0.6412 3.4211
Cu 3.6607 2.0511 8.4480
Cu 3.8620 3.8749 0.2394
Cu 5.0434 2.9711 3.1761
Cu 7.1829 5.8398 8.5056
Cu 6.8446 4.3245 1.1593
Cu 8.4684 6.7829 3.2706
Cu 7.0583 0.7993 8.2999
Cu 11.3792 6.8953 5.3907
Cu 9.1150 1.8740 6.3376
Te 3.4205 5.5349 2.7884
Te 4.2149 5.6136 7.9328
Te 3.3602 0.4476 0.7012
Te 4.0586 0.6345 5.8683
Te 7.9890 3.2283 3.7780
Te 8.7272 3.3516 8.9156
O 4.4965 6.3958 4.2545
O 2.2684 1.3963 5.3022
O 3.4796 3.8497 3.8064
O 4.1022 4.0128 9.0550
O 5.5036 6.2715 9.4157
O 3.0419 1.5579 10.1939
O 4.9179 4.5359 1.8573
O 4.2545 2.4178 6.6836
O 5.8672 5.2772 7.0730
O 6.6447 7.4619 2.4569
O 3.8114 2.2265 1.2843
O 7.4557 7.6106 7.6685
O 4.6943 1.1531 4.0349
O 5.4427 1.4028 9.2517
O 7.8079 6.4270 4.9680
O 7.1735 4.3073 9.8069
O 7.1569 6.0009 0.0929
O 6.2920 3.5438 4.6139
O 6.6761 2.6429 2.3065
O 9.0867 7.1465 1.4953
O 8.0611 4.8688 2.6734
O 9.9629 7.6313 6.4354
O 8.6938 4.9647 7.8542
O 7.5785 2.4614 7.4956
O 8.3339 1.6999 9.8271
O 8.3987 3.4831 0.0415
O 9.1143 3.7176 5.2685
O 10.4099 6.2294 3.8651
O 11.2686 6.4925 9.0043
O 8.1244 1.3589 4.6470
O 12.4555 7.4683 7.0465
O 9.3696 2.3665 2.7131
O 10.1916 2.5617 7.8537
O 11.4949 5.1008 6.5458
O 10.8679 4.8059 1.3309
O 12.3101 7.1588 1.8880

60
Lattice="7.5282 -4.4222 0.0000 7.5282 4.4222 0.0000 -0.7160 0.0000 10.5193" Properties=species:S:1:pos:R:3 comment="Zn4Cu5Te3O18 PBE-GGA relaxed" polymorph_energy_ev_per_atom=0.013 formation_enthalpy_0k_ev_per_fu=-40.231 density_g_cm3=5.93 pbc="T T T"
Zn 3.9016 2.5975 8.6713
Zn 0.1109 0.0000 3.1470
Zn 4.2523 0.1389 3.4119
Zn 10.4388 2.5975 1.8480
Zn 7.0383 -1.6535 2.1039
Zn 10.0881 0.1389 7.1074
Zn 7.3021 -1.6535 8.4154
Zn 14.2295 0.0000 7.3724
Cu 4.9205 2.7302 5.1471
Cu 7.5282 2.9930 0.0000
Cu 1.8547 -0.4561 8.4328
Cu 9.4199 2.7302 5.3722
Cu 4.6002 0.0413 10.4035
Cu 4.6125 -1.3012 7.3488
Cu 7.1702 -0.2392 5.2597
Cu 9.7402 0.0413 0.1158
Cu 9.7279 -1.3012 3.1705
Cu 12.4857 -0.4561 2.0865
Te 2.0278 1.3994 5.8247
Te 2.3939 1.3421 0.5597
Te 6.9849 1.3810 7.8813
Te 7.3555 1.3810 2.6380
Te 12.3126 1.3994 4.6946
Te 11.9465 1.3421 9.9596
O 3.5144 1.5403 4.4818
O 1.2084 -0.0089 4.7504
O 0.7986 -0.0624 10.0337
O 5.8298 2.8365 8.5021
O 6.2148 2.8297 3.3228
O 3.1756 1.2099 9.7584
O 3.5000 0.0555 1.5472
O 2.8611 -0.1426 6.7506
O 8.1256 2.8297 7.1966
O 8.5106 2.8365 2.0172
O 6.4303 1.5170 0.9119
O 6.0587 1.2532 6.1587
O 7.9101 1.5170 9.6074
O 8.2817 1.2532 4.3606
O 6.1854 -0.0706 3.2437
O 5.8507 -0.0727 8.5667
O 3.5854 -1.5552 9.0011
O 3.6575 -1.7441 3.7140
O 10.8260 1.5403 6.0375
O 8.4898 -0.0727 1.9526
O 5.6498 -1.6028 5.7303
O 8.1550 -0.0706 7.2756
O 5.9395 -1.6576 0.5085
O 11.1648 1.2099 0.7610
O 10.8404 0.0555 8.9721
O 5.7898 -3.0242 8.5712
O 6.1512 -3.0462 3.3153
O 8.6906 -1.6028 4.7890
O 8.4009 -1.6576 10.0108
O 11.4793 -0.1426 3.7687
O 10.7550 -1.5552 1.5182
O 13.1320 -0.0089 5.7689
O 13.5418 -0.0624 0.4857
O 8.5506 -3.0242 1.9481
O 8.1892 -3.0462 7.2040
O 10.6829 -1.7441 6.8053

52
Lattice="6.5178 0.0000 0.0000 0.0000 8.6030 0.0000 -1.2020 0.0000 13.1519" Properties=species:S:1:pos:R:3 comment="ZnCu2Te2O8 PBE-GGA relaxed" formation_enthalpy_0k_ev_per_fu=-16.065 density_g_cm3=5.19 pbc="T T T"
Zn 0.6762 1.2511 0.5960
Zn 0.0751 3.0505 7.1720
Zn 5.2406 5.5526 5.9799
Zn 4.6396 7.3520 12.5559
Cu 0.9917 5.9173 8.1241
Cu 1.5927 6.9873 1.5481
Cu 1.7267 0.5312 8.2374
Cu 2.3278 3.7703 1.6614
Cu 2.9880 4.8327 11.4905
Cu 3.5890 8.0718 4.9145
Cu 3.7231 1.6157 11.6038
Cu 4.3241 2.6858 5.0278
Te 0.1727 0.4125 4.5185
Te -0.4283 3.8890 11.0944
Te 1.8751 5.2545 4.7287
Te 1.2741 7.6500 11.3047
Te 4.0417 0.9530 1.8472
Te 3.4406 3.3485 8.4232
Te 5.7440 4.7140 2.0575
Te 5.1430 8.1906 8.6334
O -0.2919 2.0888 5.2712
O -0.8929 2.2127 11.8472
O -0.1842 0.9311 8.0280
O 0.4168 3.3705 1.4521
O 0.3610 0.3640 2.6745
O -0.2400 3.9376 9.2504
O 0.6612 4.9231 6.4820
O 0.0601 7.9815 13.0579
O 1.9042 5.3885 2.5816
O 1.3032 7.5161 9.1576
O 1.1299 4.4957 11.9291
O 1.7309 8.4089 5.3532
O 2.4917 1.8889 1.1348
O 1.8907 2.4126 7.7108
O 2.0103 0.7715 11.1886
O 2.6113 3.5300 4.6127
O 2.7045 5.0730 8.5393
O 3.3055 7.8315 1.9633
O 3.4251 6.1905 5.4411
O 2.8241 6.7141 12.0171
O 3.5849 0.1941 7.7987
O 4.1859 4.1074 1.2228
O 4.0126 1.0870 3.9943
O 3.4116 3.2145 10.5703
O 5.2556 0.6216 0.0940
O 4.6546 3.6799 6.6699
O 5.5558 4.6655 3.9015
O 4.9548 8.2391 10.4774
O 4.8990 5.2326 11.6999
O 5.5000 7.6720 5.1239
O 6.2087 6.3903 1.3048
O 5.6077 6.5143 7.8807